[1]
## Na4WO4 (PBE+U)

Data for a relaxed Na4WO4 crystal.

Summary:
* DFT total energy: -5.282 eV per atom
* total magnetic moment: 0.00 μB per cell
* ΔE_f: -1.853 eV/atom

Geometry as CIF:
```
data_Na4WO4
_chemical_formula_sum 'Na8 W2 O8'
_space_group_name_H-M_alt 'I 4/m'
_space_group_IT_number 87
_space_group_name_Hall '-I 4'
_cell_length_a 7.2821
_cell_length_b 7.2821
_cell_length_c 4.9036
_cell_angle_alpha 90.00
_cell_angle_beta 90.00
_cell_angle_gamma 90.00
loop_
_atom_site_label
_atom_site_type_symbol
_atom_site_fract_x
_atom_site_fract_y
_atom_site_fract_z
_atom_site_occupancy
Na1 Na 0.0930 0.3024 0.0000 1
W1 W 0.0000 0.0000 0.5000 1
O1 O 0.0811 0.2523 0.5000 1
```

=====

[2]
## Na7W9O27 (PBE+U)

Data for a relaxed Na7W9O27 crystal.

Summary:
* DFT total energy: -6.812 eV per atom
* energy above the lowest structure with this stoichiometry: 0.047 eV/atom
* ΔE_f: -2.138 eV/atom

Geometry as CIF:
```
data_Na7W9O27
_chemical_formula_sum 'Na7 W9 O27'
_space_group_name_H-M_alt 'P -1'
_space_group_IT_number 2
_space_group_name_Hall '-P 1'
_cell_length_a 6.7525
_cell_length_b 8.7245
_cell_length_c 9.5518
_cell_angle_alpha 79.48
_cell_angle_beta 89.96
_cell_angle_gamma 75.01
loop_
_atom_site_label
_atom_site_type_symbol
_atom_site_fract_x
_atom_site_fract_y
_atom_site_fract_z
_atom_site_occupancy
Na1 Na 0.0000 0.0000 0.0000 1
Na2 Na 0.1122 0.6660 0.5556 1
Na3 Na 0.2230 0.3340 0.1107 1
Na4 Na 0.3336 0.0005 0.6669 1
W1 W 0.0562 0.3337 0.7780 1
W2 W 0.1684 0.9981 0.3326 1
W3 W 0.2802 0.6650 0.8902 1
W4 W 0.3894 0.3358 0.4446 1
W5 W 0.5000 0.0000 0.0000 1
O1 O 0.0000 0.0000 0.5000 1
O2 O 0.0518 0.8350 0.2783 1
O3 O 0.0553 0.8337 0.7778 1
O4 O 0.1080 0.6663 0.0540 1
O5 O 0.1631 0.5016 0.8342 1
O6 O 0.1639 0.4988 0.3346 1
O7 O 0.2189 0.3337 0.6093 1
O8 O 0.2750 0.1648 0.8901 1
O9 O 0.2780 0.1663 0.3888 1
O10 O 0.3322 0.0031 0.1662 1
O11 O 0.3880 0.8346 0.4464 1
O12 O 0.3888 0.8349 0.9417 1
O13 O 0.4435 0.6695 0.7217 1
O14 O 0.5000 0.5000 0.0000 1
O15 O 0.5000 0.5000 0.5000 1
```

=====

[3]
## Na2WO6 (PBE+U)

Data for a relaxed Na2WO6 crystal.

Summary:
* DFT total energy: -5.854 eV per atom
* total magnetic moment: 16.00 μB per cell
* energy above the lowest structure with this stoichiometry: 0.001 eV/atom
* ΔE_f: -1.422 eV/atom

Geometry as CIF:
```
data_Na2WO6
_chemical_formula_sum 'Na16 W8 O48'
_space_group_name_H-M_alt 'P b c a'
_space_group_IT_number 61
_space_group_name_Hall '-P 2ac 2ab'
_cell_length_a 8.5327
_cell_length_b 10.6550
_cell_length_c 15.1233
_cell_angle_alpha 90.00
_cell_angle_beta 90.00
_cell_angle_gamma 90.00
loop_
_atom_site_label
_atom_site_type_symbol
_atom_site_fract_x
_atom_site_fract_y
_atom_site_fract_z
_atom_site_occupancy
Na1 Na 0.1663 0.0041 0.0593 1
Na2 Na 0.2268 0.5625 0.8628 1
W1 W 0.0155 0.2053 0.4705 1
O1 O 0.0373 0.6899 0.9144 1
O2 O 0.0567 0.1289 0.9430 1
O3 O 0.0593 0.0097 0.7328 1
O4 O 0.1463 0.6518 0.0965 1
O5 O 0.1527 0.0881 0.7030 1
O6 O 0.1865 0.1071 0.4497 1
```

=====

[4]
## Na2WO6 (PBE+U)

Data for a relaxed Na2WO6 crystal.

Summary:
* DFT total energy: -5.856 eV per atom
* total magnetic moment: 16.00 μB per cell
* energy above the lowest structure with this stoichiometry: 0.000 eV/atom
* ΔE_f: -1.424 eV/atom

Geometry as CIF:
```
data_Na2WO6
_chemical_formula_sum 'Na16 W8 O48'
_space_group_name_H-M_alt 'P b c a'
_space_group_IT_number 61
_space_group_name_Hall '-P 2ac 2ab'
_cell_length_a 8.9153
_cell_length_b 10.6237
_cell_length_c 12.3253
_cell_angle_alpha 90.00
_cell_angle_beta 90.00
_cell_angle_gamma 90.00
loop_
_atom_site_label
_atom_site_type_symbol
_atom_site_fract_x
_atom_site_fract_y
_atom_site_fract_z
_atom_site_occupancy
Na1 Na 0.1694 0.0142 0.0618 1
Na2 Na 0.2379 0.5882 0.3388 1
W1 W 0.0669 0.6882 0.0013 1
O1 O 0.0081 0.0855 0.7853 1
O2 O 0.0324 0.1900 0.7455 1
O3 O 0.0519 0.6430 0.4679 1
O4 O 0.1208 0.1238 0.5086 1
O5 O 0.1420 0.6540 0.1365 1
O6 O 0.1960 0.6146 0.9067 1
```